VASP calculation (PBE-GGA) on crystalline DyTaO4 at its relaxed geometry.

Lattice parameters (Å, degrees): 6.566 6.566 5.112 110.67 110.67 114.86
Positions (direct):
Dy1 0.130 0.870 0.750
Dy2 0.870 0.130 0.250
Ta1 0.396 0.604 0.250
Ta2 0.604 0.396 0.750
O1 0.131 0.551 0.339
O2 0.223 0.286 0.792
O3 0.286 0.223 0.292
O4 0.449 0.869 0.161
O5 0.551 0.131 0.839
O6 0.714 0.777 0.708
O7 0.777 0.714 0.208
O8 0.869 0.449 0.661

***

VASP calculation (PBE-GGA) on crystalline Sr2Re6S11 at its relaxed geometry.

Lattice parameters (Å, degrees): 11.890 11.890 11.890 45.30 45.30 45.30
Positions (direct):
Sr1 0.189 0.189 0.189
Sr2 0.311 0.311 0.311
Sr3 0.689 0.689 0.689
Sr4 0.811 0.811 0.811
Re1 0.006 0.213 0.884
Re2 0.116 0.994 0.787
Re3 0.213 0.884 0.006
Re4 0.287 0.494 0.616
Re5 0.384 0.713 0.506
Re6 0.494 0.616 0.287
Re7 0.506 0.384 0.713
Re8 0.616 0.287 0.494
Re9 0.713 0.506 0.384
Re10 0.787 0.116 0.994
Re11 0.884 0.006 0.213
Re12 0.994 0.787 0.116
S1 0.003 0.497 0.750
S2 0.082 0.701 0.308
S3 0.092 0.092 0.092
S4 0.192 0.799 0.418
S5 0.201 0.582 0.808
S6 0.250 0.997 0.503
S7 0.299 0.692 0.918
S8 0.308 0.082 0.701
S9 0.408 0.408 0.408
S10 0.418 0.192 0.799
S11 0.497 0.750 0.003
S12 0.503 0.250 0.997
S13 0.582 0.808 0.201
S14 0.592 0.592 0.592
S15 0.692 0.918 0.299
S16 0.701 0.308 0.082
S17 0.750 0.003 0.497
S18 0.799 0.418 0.192
S19 0.808 0.201 0.582
S20 0.908 0.908 0.908
S21 0.918 0.299 0.692
S22 0.997 0.503 0.250

***

VASP calculation (PBE-GGA) on crystalline Sm4Th3O12 at its relaxed geometry.

Lattice parameters (Å, degrees): 23.124 23.124 23.124 9.68 9.68 9.68
Positions (direct):
Sm1 0.000 0.000 0.000
Sm2 0.145 0.145 0.145
Sm3 0.428 0.428 0.428
Sm4 0.717 0.717 0.717
Th1 0.286 0.286 0.286
Th2 0.572 0.572 0.572
Th3 0.857 0.857 0.857
O1 0.032 0.032 0.032
O2 0.180 0.180 0.180
O3 0.252 0.252 0.252
O4 0.327 0.327 0.327
O5 0.394 0.394 0.394
O6 0.460 0.460 0.460
O7 0.537 0.537 0.537
O8 0.608 0.608 0.608
O9 0.755 0.755 0.755
O10 0.823 0.823 0.823
O11 0.894 0.894 0.894
O12 0.965 0.965 0.965

***

VASP calculation (PBE-GGA) on crystalline NdTlTe2 at its relaxed geometry.

Lattice parameters (Å, degrees): 8.642 8.642 8.642 30.72 30.72 30.72
Positions (direct):
Nd1 0.000 0.000 0.000
Tl1 0.500 0.500 0.500
Te1 0.260 0.260 0.260
Te2 0.740 0.740 0.740

***

Formation energy (eV/atom)
-3.73, -1.14, -4.02, -1.29